DFT (PBE) results for a relaxed SnS16I4 crystal.

Summary:
The total energy comes out at -3.723 eV per atom. The formation energy comes out at -0.5452 eV per atom. The calculation puts the distance to the lowest polymorph of the same formula at 0 meV/atom.

Cell lengths 16.439, 13.327, 13.038 Å; angles 77.14, 52.22, 50.64 degrees
Element x y z (fractional)
1 S 0.916 0.925 0.446
2 S 0.521 0.783 0.989
3 S 0.597 0.614 0.883
4 S 0.907 0.883 0.614
5 S 0.636 0.164 0.873
6 S 0.439 0.919 0.714
7 S 0.327 0.873 0.164
8 S 0.328 0.655 0.353
9 S 0.664 0.353 0.655
10 S 0.331 0.811 0.321
11 S 0.367 0.343 0.653
12 S 0.746 0.257 0.474
13 S 0.707 0.989 0.783
14 S 0.636 0.653 0.343
15 S 0.467 0.729 0.543
16 S 0.325 0.334 0.537
17 S 0.595 0.922 0.586
18 S 0.897 0.586 0.922
19 S 0.934 0.071 0.395
20 S 0.993 0.504 0.728
21 S 0.522 0.474 0.257
22 S 0.536 0.321 0.811
23 S 0.804 0.537 0.334
24 S 0.855 0.651 0.316
25 S 0.086 0.614 0.923
26 S 0.599 0.395 0.071
27 S 0.929 0.714 0.919
28 S 0.179 0.316 0.651
29 S 0.377 0.923 0.614
30 S 0.713 0.446 0.925
31 S 0.776 0.728 0.504
32 S 0.261 0.543 0.729
33 I 0.470 0.032 0.224
34 I 0.968 0.220 0.035
35 I 0.273 0.224 0.032
36 I 0.030 0.282 0.473
37 I 0.215 0.473 0.282
38 I 0.777 0.035 0.220
39 I 0.026 0.977 0.780
40 I 0.218 0.780 0.977
41 Sn 0.998 0.002 0.002
42 Sn 0.248 0.252 0.252